1.
Ti4CdCu3O12 after structural relaxation. Source: the Materials Project database, functional PBE-GGA.

Unit cell a=6.459 b=6.459 c=6.459 alpha=109.47 beta=109.47 gamma=109.47
Fractional coordinates of all 20 atoms:
Ti  0.000  0.000  0.500
Ti  0.000  0.500  0.000
Ti  0.500  0.000  0.000
Ti  0.500  0.500  0.500
Cd  0.000  0.000  0.000
Cu  0.000  0.500  0.500
Cu  0.500  0.000  0.500
Cu  0.500  0.500  0.000
O  0.127  0.822  0.305
O  0.178  0.305  0.483
O  0.178  0.695  0.873
O  0.305  0.127  0.822
O  0.305  0.483  0.178
O  0.483  0.178  0.305
O  0.517  0.822  0.695
O  0.695  0.517  0.822
O  0.695  0.873  0.178
O  0.822  0.305  0.127
O  0.822  0.695  0.517
O  0.873  0.178  0.695

Output
* energy with MP2020 corrections: -7.667 eV/atom

=====

2.
Cd3Cu2P10 after structural relaxation. Source: the Materials Project database, functional PBE-GGA.

Unit cell a=7.469 b=7.469 c=7.469 alpha=60.16 beta=60.16 gamma=60.16
Fractional coordinates of all 15 atoms:
Cd  0.206  0.206  0.589
Cd  0.206  0.589  0.206
Cd  0.589  0.206  0.206
Cu  0.192  0.192  0.192
Cu  0.802  0.802  0.802
P  0.187  0.673  0.673
P  0.309  0.309  0.810
P  0.309  0.810  0.309
P  0.314  0.790  0.790
P  0.673  0.187  0.673
P  0.673  0.673  0.187
P  0.674  0.674  0.674
P  0.790  0.314  0.790
P  0.790  0.790  0.314
P  0.810  0.309  0.309

Output
* uncorrected energy: -0.1637 Ha/atom

=====

3.
Pr2CdCu2 after structural relaxation. Source: the Materials Project database, functional PBE-GGA.

Unit cell a=5.660 b=5.660 c=7.684 alpha=102.21 beta=102.21 gamma=82.21
Fractional coordinates of all 10 atoms:
Pr  0.162  0.162  0.228
Pr  0.290  0.290  0.755
Pr  0.710  0.710  0.245
Pr  0.838  0.838  0.772
Cd  0.286  0.714  0.500
Cd  0.714  0.286  0.500
Cu  0.184  0.613  0.094
Cu  0.387  0.816  0.906
Cu  0.613  0.184  0.094
Cu  0.816  0.387  0.906

Output
* uncorrected energy: -0.1462 Ha/atom

=====

4.
PrCd2Cu9 after structural relaxation. Source: the Materials Project database, functional PBE-GGA.

Unit cell a=8.485 b=8.485 c=4.998 alpha=90.00 beta=90.00 gamma=90.00
Fractional coordinates of all 24 atoms:
Pr  0.000  0.000  0.000
Pr  0.500  0.500  0.000
Cd  0.120  0.380  0.000
Cd  0.380  0.880  0.000
Cd  0.620  0.120  0.000
Cd  0.880  0.620  0.000
Cu  0.000  0.500  0.500
Cu  0.064  0.209  0.500
Cu  0.179  0.679  0.248
Cu  0.179  0.679  0.752
Cu  0.209  0.936  0.500
Cu  0.291  0.436  0.500
Cu  0.321  0.179  0.248
Cu  0.321  0.179  0.752
Cu  0.436  0.709  0.500
Cu  0.500  0.000  0.500
Cu  0.564  0.291  0.500
Cu  0.679  0.821  0.248
Cu  0.679  0.821  0.752
Cu  0.709  0.564  0.500
Cu  0.791  0.064  0.500
Cu  0.821  0.321  0.248
Cu  0.821  0.321  0.752
Cu  0.936  0.791  0.500

Output
* uncorrected energy: -0.1368 Ha/atom

=====

5.
Cd2Cu10Sb4S13 after structural relaxation. Source: the Materials Project database, functional PBE-GGA.

Unit cell a=9.168 b=9.168 c=9.168 alpha=110.92 beta=110.92 gamma=106.62
Fractional coordinates of all 29 atoms:
Cd  0.233  0.233  0.000
Cd  0.767  0.767  0.000
Cu  0.000  0.225  0.225
Cu  0.000  0.775  0.775
Cu  0.225  0.000  0.225
Cu  0.238  0.500  0.738
Cu  0.250  0.750  0.500
Cu  0.500  0.238  0.738
Cu  0.500  0.762  0.262
Cu  0.750  0.250  0.500
Cu  0.762  0.500  0.262
Cu  0.775  0.000  0.775
Sb  0.015  0.015  0.544
Sb  0.470  0.470  0.456
Sb  0.530  0.985  0.000
Sb  0.985  0.530  0.000
S  0.000  0.000  0.000
S  0.008  0.482  0.254
S  0.227  0.753  0.746
S  0.247  0.992  0.474
S  0.252  0.511  0.000
S  0.482  0.008  0.254
S  0.489  0.489  0.741
S  0.511  0.252  0.000
S  0.518  0.773  0.526
S  0.748  0.748  0.259
S  0.753  0.227  0.746
S  0.773  0.518  0.526
S  0.992  0.247  0.474

Output
* energy with MP2020 corrections: -4.370 eV/atom

=====

6.
CdCu2Sn3S8 after structural relaxation. Source: the Materials Project database, functional PBE-GGA.

Unit cell a=7.512 b=7.512 c=7.512 alpha=59.94 beta=59.94 gamma=59.94
Fractional coordinates of all 14 atoms:
Cd  0.000  0.000  0.000
Cu  0.383  0.383  0.383
Cu  0.617  0.617  0.617
Sn  0.000  0.000  0.500
Sn  0.000  0.500  0.000
Sn  0.500  0.000  0.000
S  0.239  0.749  0.749
S  0.251  0.251  0.251
S  0.251  0.251  0.761
S  0.251  0.761  0.251
S  0.749  0.239  0.749
S  0.749  0.749  0.239
S  0.749  0.749  0.749
S  0.761  0.251  0.251

Output
* energy with MP2020 corrections: -4.538 eV/atom

=====

7.
ZnCdCu4Sn2S8 after structural relaxation. Source: the Materials Project database, functional PBE-GGA.

Unit cell a=5.555 b=5.555 c=11.010 alpha=90.00 beta=90.00 gamma=90.00
Fractional coordinates of all 16 atoms:
Zn  0.000  0.000  0.000
Cd  0.500  0.500  0.500
Cu  0.000  0.500  0.247
Cu  0.000  0.500  0.753
Cu  0.500  0.000  0.247
Cu  0.500  0.000  0.753
Sn  0.000  0.000  0.500
Sn  0.500  0.500  0.000
S  0.244  0.244  0.132
S  0.244  0.244  0.642
S  0.244  0.756  0.358
S  0.244  0.756  0.868
S  0.756  0.244  0.358
S  0.756  0.244  0.868
S  0.756  0.756  0.132
S  0.756  0.756  0.642

Output
* energy with MP2020 corrections: -4.409 eV/atom

=====

8.
ScCdCu2 after structural relaxation. Source: the Materials Project database, functional PBE-GGA.

Unit cell a=4.518 b=4.518 c=4.518 alpha=60.00 beta=60.00 gamma=60.00
Fractional coordinates of all 4 atoms:
Sc  0.000  0.000  0.000
Cd  0.500  0.500  0.500
Cu  0.250  0.250  0.250
Cu  0.750  0.750  0.750

Output
* uncorrected energy: -0.1493 Ha/atom

=====

9.
ScCdCu3Se4 after structural relaxation. Source: the Materials Project database, functional PBE-GGA.

Unit cell a=5.923 b=5.923 c=5.923 alpha=90.00 beta=90.00 gamma=90.00
Fractional coordinates of all 9 atoms:
Sc  0.000  0.000  0.000
Cd  0.500  0.500  0.500
Cu  0.000  0.000  0.500
Cu  0.000  0.500  0.000
Cu  0.500  0.000  0.000
Se  0.243  0.243  0.243
Se  0.243  0.757  0.757
Se  0.757  0.243  0.757
Se  0.757  0.757  0.243

Output
* energy with MP2020 corrections: -4.511 eV/atom

=====

10.
CdCu2Se2 after structural relaxation. Source: the Materials Project database, functional PBE-GGA.

Unit cell a=4.016 b=4.016 c=6.950 alpha=90.00 beta=90.00 gamma=120.00
Fractional coordinates of all 5 atoms:
Cd  0.000  0.000  0.000
Cu  0.333  0.667  0.405
Cu  0.667  0.333  0.595
Se  0.333  0.667  0.755
Se  0.667  0.333  0.245

Output
* energy with MP2020 corrections: -3.734 eV/atom

=====

11.
TlCdCu3Se4 after structural relaxation. Source: the Materials Project database, functional PBE-GGA.

Unit cell a=6.075 b=6.075 c=6.075 alpha=90.00 beta=90.00 gamma=90.00
Fractional coordinates of all 9 atoms:
Tl  0.000  0.000  0.000
Cd  0.500  0.500  0.500
Cu  0.000  0.000  0.500
Cu  0.000  0.500  0.000
Cu  0.500  0.000  0.000
Se  0.253  0.253  0.253
Se  0.253  0.747  0.747
Se  0.747  0.253  0.747
Se  0.747  0.747  0.253

Output
* energy with MP2020 corrections: -3.491 eV/atom

=====

12.
VCdCu3Se4 after structural relaxation. Source: the Materials Project database, functional PBE-GGA.

Unit cell a=5.872 b=5.872 c=5.872 alpha=90.00 beta=90.00 gamma=90.00
Fractional coordinates of all 9 atoms:
V  0.000  0.000  0.000
Cd  0.500  0.500  0.500
Cu  0.000  0.000  0.500
Cu  0.000  0.500  0.000
Cu  0.500  0.000  0.000
Se  0.232  0.232  0.232
Se  0.232  0.768  0.768
Se  0.768  0.232  0.768
Se  0.768  0.768  0.232

Output
* energy with MP2020 corrections: -4.517 eV/atom